1.
# MoF3

A geometry-optimized MoF3 structure (GGA+U, the Materials Project).

a = 5.3888 Å, b = 5.3888 Å, c = 14.6908 Å
α = 90.00°, β = 90.00°, γ = 120.00°
Closest atoms and distances in Å follow each position.
Space group R-3c (No. 167, hexagonal axes)
Asymmetric unit:
1 Mo 0.0000 0.0000 0.0000 [6 per cell]  6 F 2.11
2 F 0.0000 0.3666 0.2500 [18 per cell]  2 Mo 2.11

Calculated values
Polymorph energy (0 for the lowest one): 0.0 meV per atom



2.
# NaMoF6

A geometry-optimized NaMoF6 structure (GGA+U, the Materials Project).

a = 8.4853 Å, b = 8.4853 Å, c = 8.4853 Å
α = 90.00°, β = 90.00°, γ = 90.00°
Closest atoms and distances in Å follow each position.
Space group Fm-3m (No. 225)
Asymmetric unit:
1 Na 0.0000 0.0000 0.0000 [4 per cell]  6 F 2.32
2 Mo 0.0000 0.0000 0.5000 [4 per cell]  6 F 1.93
3 F 0.0000 0.0000 0.2729 [24 per cell]  1 Mo 1.93

Calculated values
Calculated total energy: -4.9534 eV per atom



3.
# Na3MoF6

A geometry-optimized Na3MoF6 structure (GGA+U, the Materials Project).

a = 8.4981 Å, b = 8.4981 Å, c = 8.4981 Å
α = 90.00°, β = 90.00°, γ = 90.00°
Closest atoms and distances in Å follow each position.
Space group Fm-3m (No. 225)
Asymmetric unit:
1 Na 0.0000 0.0000 0.0000 [4 per cell]  6 F 2.19
2 Na 0.2500 0.2500 0.2500 [8 per cell]  12 F 3.01
3 Mo 0.0000 0.0000 0.5000 [4 per cell]  6 F 2.06
4 F 0.0000 0.0000 0.2577 [24 per cell]  1 Mo 2.06, 1 Na 2.19

Calculated values
Calculated total energy: -4.8397 eV per atom
Magnetic moment: 12.00 μB per cell



4.
# Na3MoO4F

A geometry-optimized Na3MoO4F structure (GGA+U, the Materials Project).

a = 5.6647 Å, b = 7.6120 Å, c = 13.0421 Å
α = 90.00°, β = 90.00°, γ = 90.00°
Closest atoms and distances in Å follow each position.
Space group Pnma (No. 62)
Asymmetric unit:
1 Na 0.2270 0.2500 0.1073 [4 per cell]  2 F 2.26-2.44, 3 O 2.42-2.43
2 Na 0.2300 0.5396 0.8206 [8 per cell]  2 F 2.31-2.37, 3 O 2.38-2.52
3 Mo 0.2093 0.2500 0.5840 [4 per cell]  4 O 1.79-1.81
4 O 0.1095 0.7500 0.4211 [4 per cell]  1 Mo 1.81
5 O 0.1758 0.7500 0.9558 [4 per cell]  1 Mo 1.79
6 O 0.1894 0.5576 0.1506 [8 per cell]  1 Mo 1.80
7 F 0.0021 0.2500 0.2672 [4 per cell]  6 Na 2.26-2.44

Calculated values
Calculated total energy: -5.6750 eV per atom
Magnetic moment: 0.00 μB per cell



5.
# NaMoO3F

A geometry-optimized NaMoO3F structure (GGA+U, the Materials Project).

a = 6.6578 Å, b = 3.7608 Å, c = 7.3129 Å
α = 90.00°, β = 109.91°, γ = 90.00°
Closest atoms and distances in Å follow each position.
Space group P2_1/m (No. 11)
Asymmetric unit:
1 Na 0.0887 0.2500 0.2049 [2 per cell]  3 F 2.35-2.36, 3 O 2.41-2.55
2 Mo 0.3969 0.2500 0.7860 [2 per cell]  2 O 1.73-1.75
3 O 0.2093 0.2500 0.5548 [2 per cell]  1 Mo 1.73
4 O 0.3621 0.7500 0.2603 [2 per cell]  1 Mo 1.75
5 O 0.4107 0.7500 0.8725 [2 per cell]  2 Mo 1.98
6 F 0.1359 0.2500 0.9003 [2 per cell]  1 Mo 2.17, 3 Na 2.35-2.36

Calculated values
Calculated total energy: -6.1531 eV per atom
Magnetic moment: 0.00 μB per cell



6.
# Rb2NaMoF6

A geometry-optimized Rb2NaMoF6 structure (GGA+U, the Materials Project).

a = 8.8259 Å, b = 8.8259 Å, c = 8.8259 Å
α = 90.00°, β = 90.00°, γ = 90.00°
Closest atoms and distances in Å follow each position.
Space group Fm-3m (No. 225)
Asymmetric unit:
1 Rb 0.2500 0.2500 0.2500 [8 per cell]  12 F 3.12
2 Na 0.0000 0.0000 0.0000 [4 per cell]  6 F 2.31
3 Mo 0.0000 0.0000 0.5000 [4 per cell]  6 F 2.10
4 F 0.0000 0.0000 0.2617 [24 per cell]  1 Mo 2.10, 1 Na 2.31

Calculated values
Calculated total energy: -4.9458 eV per atom
Magnetic moment: 12.00 μB per cell



7.
# Nb15MoO40F

A geometry-optimized Nb15MoO40F structure (GGA+U, the Materials Project).

a = 22.6769 Å, b = 3.9140 Å, c = 20.6229 Å
α = 90.00°, β = 114.47°, γ = 90.00°
Closest atoms and distances in Å follow each position.
Space group C2 (No. 5)
Asymmetric unit:
1 Nb 0.0000 0.0000 0.0000 [2 per cell]  4 O 1.94-1.99, 2 F 1.95-1.96
2 Nb 0.0013 0.0014 0.2675 [4 per cell]  4 O 1.87-2.04
3 Nb 0.0989 0.5033 0.6864 [4 per cell]  4 O 1.85-2.05
4 Nb 0.1330 0.9978 0.9265 [4 per cell]  5 O 1.91-2.02
5 Nb 0.1338 0.9621 0.1949 [4 per cell]  3 O 1.83-2.02
6 Nb 0.1389 0.9879 0.4633 [4 per cell]  3 O 1.83-2.01
7 Nb 0.2298 0.4981 0.6101 [4 per cell]  5 O 1.83-2.04
8 Nb 0.2341 0.5000 0.8797 [4 per cell]  5 O 1.84-2.06
9 Mo 0.0000 0.2468 0.5000 [2 per cell]  4 O 1.79-1.80
10 O 0.0126 0.4981 0.7175 [4 per cell]  2 Nb 2.01-2.04
11 O 0.0209 0.4982 0.5788 [4 per cell]  1 Mo 1.79
12 O 0.0672 0.9955 0.8255 [4 per cell]  2 Nb 1.90-2.00
13 O 0.0668 0.9985 0.0965 [4 per cell]  2 Nb 1.94-1.97
14 O 0.0682 0.0012 0.2372 [4 per cell]  2 Nb 1.87-2.02
15 O 0.0677 0.9969 0.9621 [4 per cell]  2 Nb 1.91-1.99
16 O 0.0698 0.9969 0.5105 [4 per cell]  1 Mo 1.80
17 O 0.0717 0.9924 0.3746 [4 per cell]  1 Nb 1.83
18 O 0.0740 0.9986 0.6863 [4 per cell]  2 Nb 2.02-2.05
19 O 0.1377 0.4951 0.1982 [4 per cell]  1 Nb 1.83
20 O 0.1491 0.4962 0.9179 [4 per cell]  2 Nb 2.01-2.02
21 O 0.1509 0.4951 0.4928 [4 per cell]  2 Nb 2.01-2.06
22 O 0.1563 0.4978 0.6431 [4 per cell]  2 Nb 1.86-2.04
23 O 0.1582 0.4953 0.7806 [4 per cell]  2 Nb 1.85-2.06
24 O 0.2040 0.9948 0.0226 [4 per cell]  2 Nb 1.92-1.97
25 O 0.2062 0.0013 0.1595 [4 per cell]  1 Nb 1.84
26 O 0.2072 0.9997 0.2987 [4 per cell]  1 Nb 1.83
27 O 0.2084 0.9972 0.4351 [4 per cell]  2 Nb 1.89-1.98
28 O 0.2110 0.9965 0.5844 [4 per cell]  2 Nb 2.02-2.03
29 O 0.2116 0.9969 0.8858 [4 per cell]  3 Nb 2.03-2.26
30 F 0.0000 0.4994 0.0000 [2 per cell]  2 Nb 1.95-1.96

Calculated values
Calculated total energy: -8.7672 eV per atom
Magnetic moment: 0.02 μB per cell



8.
# NdMoO4F

A geometry-optimized NdMoO4F structure (GGA+U, the Materials Project).

a = 7.0277 Å, b = 6.6120 Å, c = 10.1301 Å
α = 90.00°, β = 115.83°, γ = 90.00°
Closest atoms and distances in Å follow each position.
Space group P2_1/c (No. 14)
Asymmetric unit:
1 Nd 0.1962 0.1281 0.4221 [4 per cell]  2 F 2.36-2.38, 6 O 2.43-2.56
2 Mo 0.3336 0.6357 0.6650 [4 per cell]  4 O 1.76-1.85
3 O 0.1648 0.6422 0.0805 [4 per cell]  1 Mo 1.85
4 O 0.2140 0.0991 0.0877 [4 per cell]  1 Mo 1.78
5 O 0.4396 0.6058 0.8639 [4 per cell]  1 Mo 1.83
6 O 0.4457 0.1602 0.8730 [4 per cell]  1 Mo 1.76
7 F 0.0137 0.6174 0.7388 [4 per cell]  2 Nd 2.36-2.38

Calculated values
Calculated total energy: -7.3808 eV per atom
Magnetic moment: 0.01 μB per cell